Density functional theory data (PBE) for a relaxed K2SiS6O21 crystal.

Output
Formation energy from the elements = -1.978 eV per atom
DFT total energy = -725.1 eV for the cell shown

```
K2SiS6O21
1.0
11.280 0.000 0.000
0.000 9.600 0.000
-10.597 0.000 16.750
K Si S O
8 4 24 84
Direct
0.202 0.010 0.139
0.202 0.490 0.639
0.222 0.002 0.815
0.222 0.498 0.315
0.778 0.502 0.685
0.778 0.998 0.185
0.798 0.510 0.361
0.798 0.990 0.861
0.270 0.001 0.503
0.270 0.499 0.003
0.730 0.501 0.997
0.730 0.999 0.497
0.054 0.216 0.381
0.054 0.284 0.881
0.120 0.714 0.447
0.120 0.786 0.947
0.194 0.034 0.331
0.194 0.466 0.831
0.330 0.079 0.671
0.330 0.421 0.171
0.412 0.723 0.570
0.412 0.777 0.070
0.455 0.242 0.604
0.455 0.258 0.104
0.545 0.742 0.896
0.545 0.758 0.396
0.588 0.223 0.930
0.588 0.277 0.430
0.670 0.579 0.829
0.670 0.921 0.329
0.806 0.534 0.169
0.806 0.966 0.669
0.880 0.214 0.053
0.880 0.286 0.553
0.946 0.716 0.119
0.946 0.784 0.619
0.053 0.684 0.364
0.053 0.816 0.864
0.066 0.647 0.491
0.066 0.853 0.991
0.068 0.547 0.787
0.068 0.953 0.287
0.072 0.138 0.900
0.072 0.362 0.400
0.085 0.665 0.173
0.085 0.835 0.673
0.130 0.127 0.456
0.130 0.373 0.956
0.136 0.631 0.965
0.136 0.869 0.465
0.149 0.194 0.341
0.149 0.306 0.841
0.245 0.187 0.674
0.245 0.313 0.174
0.255 0.012 0.588
0.255 0.488 0.088
0.279 0.057 0.298
0.279 0.443 0.798
0.282 0.660 0.483
0.282 0.840 0.983
0.284 0.513 0.917
0.284 0.987 0.417
0.354 0.149 0.084
0.354 0.351 0.584
0.376 0.699 0.628
0.376 0.801 0.128
0.388 0.524 0.233
0.388 0.976 0.733
0.401 0.133 0.537
0.401 0.367 0.037
0.404 0.723 0.370
0.404 0.777 0.870
0.409 0.623 0.051
0.409 0.877 0.551
0.466 0.159 0.921
0.466 0.341 0.421
0.470 0.150 0.678
0.470 0.350 0.178
0.530 0.650 0.822
0.530 0.850 0.322
0.534 0.659 0.579
0.534 0.841 0.079
0.591 0.123 0.449
0.591 0.377 0.949
0.596 0.223 0.130
0.596 0.277 0.630
0.599 0.633 0.963
0.599 0.867 0.463
0.612 0.024 0.267
0.612 0.476 0.767
0.624 0.199 0.872
0.624 0.301 0.372
0.646 0.649 0.416
0.646 0.851 0.916
0.716 0.013 0.583
0.716 0.487 0.083
0.718 0.160 0.017
0.718 0.340 0.517
0.721 0.557 0.202
0.721 0.943 0.702
0.745 0.512 0.912
0.745 0.988 0.412
0.755 0.687 0.826
0.755 0.813 0.326
0.851 0.694 0.159
0.851 0.806 0.659
0.864 0.131 0.535
0.864 0.369 0.035
0.870 0.627 0.044
0.870 0.873 0.544
0.915 0.165 0.327
0.915 0.335 0.827
0.928 0.638 0.600
0.928 0.862 0.100
0.932 0.047 0.713
0.932 0.453 0.213
0.934 0.147 0.009
0.934 0.353 0.509
0.947 0.184 0.136
0.947 0.316 0.636
```